[1]
# PBE ZrCrCuS4, relaxed
data_ZrCrCuS4
_space_group_name_H-M_alt 'P n m a'
_space_group_IT_number 62
_space_group_name_Hall '-P 2ac 2n'
_cell_length_a 7.0372
_cell_length_b 7.0835
_cell_length_c 12.1329
_cell_angle_alpha 90.00
_cell_angle_beta 90.00
_cell_angle_gamma 90.00
loop_
_atom_site_label
_atom_site_type_symbol
_atom_site_fract_x
_atom_site_fract_y
_atom_site_fract_z
Zr1 Zr 0.0079 0.2500 0.1800
Cr1 Cr 0.1357 0.2500 0.4312
Cu1 Cu 0.2148 0.2500 0.8997
S1 S 0.0940 0.7500 0.0275
S2 S 0.1771 0.7500 0.5785
S3 S 0.2125 0.0196 0.3069
# Total magnetic moment (μB per atom): 0.43
# Energy of formation from the pure elements (kJ per mole of atoms): -95.9


[2]
# PBE SmCo2P2, relaxed
data_SmCo2P2
_space_group_name_H-M_alt 'I 4/m m m'
_space_group_IT_number 139
_space_group_name_Hall '-I 4 2'
_cell_length_a 3.8779
_cell_length_b 3.8779
_cell_length_c 9.5941
_cell_angle_alpha 90.00
_cell_angle_beta 90.00
_cell_angle_gamma 90.00
loop_
_atom_site_label
_atom_site_type_symbol
_atom_site_fract_x
_atom_site_fract_y
_atom_site_fract_z
Sm1 Sm 0.0000 0.0000 0.0000
Co1 Co 0.0000 0.5000 0.2500
P1 P 0.0000 0.0000 0.3694
# Energy of formation from the pure elements (kJ per mole of atoms): -96.7


[3]
# PBE TlInSe2, relaxed
data_TlInSe2
_space_group_name_H-M_alt 'I 4/m c m'
_space_group_IT_number 140
_space_group_name_Hall '-I 4 2c'
_cell_length_a 8.2554
_cell_length_b 8.2554
_cell_length_c 6.9908
_cell_angle_alpha 90.00
_cell_angle_beta 90.00
_cell_angle_gamma 90.00
loop_
_atom_site_label
_atom_site_type_symbol
_atom_site_fract_x
_atom_site_fract_y
_atom_site_fract_z
Tl1 Tl 0.0000 0.0000 0.2500
In1 In 0.0000 0.5000 0.2500
Se1 Se 0.1707 0.3293 0.0000
# Energy of formation from the pure elements (kJ per mole of atoms): -73.0


[4]
# PBE Mg5Si9, relaxed
data_Mg5Si9
_space_group_name_H-M_alt 'P 1'
_space_group_IT_number 1
_space_group_name_Hall 'P 1'
_cell_length_a 5.5717
_cell_length_b 7.4757
_cell_length_c 12.7062
_cell_angle_alpha 85.20
_cell_angle_beta 79.73
_cell_angle_gamma 73.86
loop_
_atom_site_label
_atom_site_type_symbol
_atom_site_fract_x
_atom_site_fract_y
_atom_site_fract_z
Mg1 Mg 0.0000 0.0000 0.0000
Mg2 Mg 0.0052 0.5950 0.7118
Mg3 Mg 0.0799 0.2663 0.1596
Mg4 Mg 0.1251 0.5858 0.3037
Mg5 Mg 0.2017 0.1464 0.7615
Mg6 Mg 0.4902 0.1105 0.5361
Mg7 Mg 0.5322 0.8300 0.3575
Mg8 Mg 0.5645 0.4097 0.7107
Mg9 Mg 0.6557 0.7000 0.9497
Mg10 Mg 0.7518 0.0114 0.8048
Si1 Si 0.0249 0.9922 0.3158
Si2 Si 0.0272 0.8408 0.4938
Si3 Si 0.1354 0.6223 0.0721
Si4 Si 0.1992 0.7252 0.8606
Si5 Si 0.2049 0.3929 0.9116
Si6 Si 0.3121 0.8304 0.1600
Si7 Si 0.3378 0.5406 0.5131
Si8 Si 0.3449 0.2084 0.3349
Si9 Si 0.4606 0.0496 0.0262
Si10 Si 0.5144 0.8018 0.7242
Si11 Si 0.5663 0.4018 0.0864
Si12 Si 0.6467 0.3973 0.3584
Si13 Si 0.6551 0.1023 0.1776
Si14 Si 0.6795 0.6845 0.5467
Si15 Si 0.7146 0.5953 0.1918
Si16 Si 0.7887 0.3386 0.8991
Si17 Si 0.9560 0.1130 0.5993
Si18 Si 0.9731 0.3824 0.4841
# Total magnetic moment (μB per atom): 0.00
# Energy of formation from the pure elements (kJ per mole of atoms): 19.0


[5]
# PBE Er2IrRh, relaxed
data_Er2IrRh
_space_group_name_H-M_alt 'F m -3 m'
_space_group_IT_number 225
_space_group_name_Hall '-F 4 2 3'
_cell_length_a 6.7990
_cell_length_b 6.7990
_cell_length_c 6.7990
_cell_angle_alpha 90.00
_cell_angle_beta 90.00
_cell_angle_gamma 90.00
loop_
_atom_site_label
_atom_site_type_symbol
_atom_site_fract_x
_atom_site_fract_y
_atom_site_fract_z
Er1 Er 0.2500 0.2500 0.2500
Ir1 Ir 0.0000 0.0000 0.0000
Rh1 Rh 0.0000 0.0000 0.5000
# Energy of formation from the pure elements (kJ per mole of atoms): -91.0


[6]
# PBE Y12Ni6Pb, relaxed
data_Y12Ni6Pb
_space_group_name_H-M_alt 'I m -3'
_space_group_IT_number 204
_space_group_name_Hall '-I 2 2 3'
_cell_length_a 9.7969
_cell_length_b 9.7969
_cell_length_c 9.7969
_cell_angle_alpha 90.00
_cell_angle_beta 90.00
_cell_angle_gamma 90.00
loop_
_atom_site_label
_atom_site_type_symbol
_atom_site_fract_x
_atom_site_fract_y
_atom_site_fract_z
Y1 Y 0.0000 0.1892 0.3030
Ni1 Ni 0.0000 0.3780 0.5000
Pb1 Pb 0.0000 0.0000 0.0000
# Energy of formation from the pure elements (kJ per mole of atoms): -36.0